Here is crystalline Sr8MgMn6O20 at its relaxed geometry from the Materials Project database. Energies are from PBE+U.

Values from the calculation:
Energy of formation from the pure elements, eV per atom: -2.541
E_tot, eV/atom: -6.693
SG: P1
E (MP2020), eV per atom: -7.3712
Size of the total moment, μB/cell: 19.97

a = 5.616 Å, b = 6.729 Å, c = 13.605 Å
α = 89.71°, β = 91.61°, γ = 110.86°
Fractional coordinates of all 35 atoms:
Sr: 0.180 0.470 0.160
Sr: 0.688 0.493 0.944
Sr: 0.726 0.477 0.405
Sr: 0.267 0.521 0.601
Sr: 0.994 0.931 0.618
Sr: 0.008 0.058 0.359
Sr: 0.474 0.065 0.145
Sr: 0.614 0.964 0.811
Mg: 0.270 0.784 0.948
Mn: 0.666 0.268 0.644
Mn: 0.340 0.744 0.349
Mn: 0.807 0.744 0.159
Mn: 0.190 0.281 0.836
Mn: 0.504 0.001 0.496
Mn: 0.977 0.000 0.997
O: 0.461 0.255 0.758
O: 0.053 0.740 0.272
O: 0.550 0.777 0.238
O: 0.948 0.234 0.717
O: 0.170 0.788 0.469
O: 0.386 0.221 0.543
O: 0.336 0.130 0.969
O: 0.054 0.746 0.058
O: 0.836 0.208 0.522
O: 0.626 0.788 0.452
O: 0.617 0.838 0.016
O: 0.929 0.236 0.933
O: 0.798 0.551 0.624
O: 0.223 0.446 0.348
O: 0.988 0.076 0.142
O: 0.975 0.860 0.872
O: 0.504 0.926 0.634
O: 0.638 0.449 0.140
O: 0.334 0.586 0.855
O: 0.490 0.074 0.359



Here is crystalline Sr8MgMn6O20 at its relaxed geometry from the Materials Project database. Energies are from PBE+U.

Values from the calculation:
Energy of formation from the pure elements, eV per atom: -2.531
E_tot, eV/atom: -6.682
SG: P1
E (MP2020), eV per atom: -7.3604
Size of the total moment, μB/cell: 19.95

a = 5.686 Å, b = 6.673 Å, c = 14.220 Å
α = 94.35°, β = 83.90°, γ = 112.86°
Fractional coordinates of all 35 atoms:
Sr: 0.156 0.462 0.076
Sr: 0.765 0.502 0.865
Sr: 0.787 0.525 0.338
Sr: 0.297 0.491 0.658
Sr: 0.022 0.907 0.644
Sr: 0.200 0.194 0.425
Sr: 0.438 0.058 0.126
Sr: 0.478 0.926 0.868
Mg: 0.871 0.026 0.263
Mn: 0.670 0.222 0.661
Mn: 0.361 0.782 0.345
Mn: 0.744 0.691 0.123
Mn: 0.134 0.230 0.845
Mn: 0.557 0.990 0.502
Mn: 0.963 0.990 0.995
O: 0.395 0.186 0.757
O: 0.130 0.899 0.288
O: 0.554 0.785 0.225
O: 0.875 0.178 0.747
O: 0.211 0.838 0.467
O: 0.453 0.225 0.558
O: 0.317 0.184 0.974
O: 0.030 0.743 0.030
O: 0.889 0.172 0.552
O: 0.602 0.752 0.430
O: 0.599 0.790 0.023
O: 0.871 0.219 0.955
O: 0.824 0.525 0.681
O: 0.187 0.482 0.331
O: 0.978 0.084 0.129
O: 0.972 0.906 0.863
O: 0.491 0.887 0.628
O: 0.734 0.434 0.169
O: 0.278 0.535 0.836
O: 0.632 0.107 0.368



Here is crystalline Sr8MgMn6O20 at its relaxed geometry from the Materials Project database. Energies are from PBE+U.

Values from the calculation:
Energy of formation from the pure elements, eV per atom: -2.527
E_tot, eV/atom: -6.678
SG: P1
E (MP2020), eV per atom: -7.3567
Size of the total moment, μB/cell: 19.97

a = 5.777 Å, b = 7.051 Å, c = 13.498 Å
α = 90.75°, β = 92.43°, γ = 116.81°
Fractional coordinates of all 35 atoms:
Sr: 0.302 0.483 0.108
Sr: 0.767 0.524 0.901
Sr: 0.655 0.468 0.460
Sr: 0.193 0.511 0.655
Sr: 0.907 0.923 0.641
Sr: 0.985 0.203 0.393
Sr: 0.580 0.092 0.123
Sr: 0.476 0.935 0.862
Mg: 0.122 0.858 0.335
Mn: 0.560 0.238 0.662
Mn: 0.481 0.746 0.331
Mn: 0.949 0.767 0.141
Mn: 0.111 0.256 0.847
Mn: 0.440 0.956 0.505
Mn: 0.030 0.010 0.993
O: 0.270 0.217 0.733
O: 0.245 0.762 0.218
O: 0.824 0.853 0.265
O: 0.823 0.254 0.771
O: 0.129 0.703 0.455
O: 0.263 0.133 0.514
O: 0.357 0.213 0.946
O: 0.140 0.791 0.018
O: 0.771 0.208 0.552
O: 0.638 0.805 0.473
O: 0.705 0.806 0.046
O: 0.918 0.227 0.971
O: 0.693 0.532 0.645
O: 0.363 0.459 0.318
O: 0.138 0.089 0.129
O: 0.923 0.926 0.855
O: 0.406 0.908 0.647
O: 0.756 0.477 0.134
O: 0.289 0.552 0.844
O: 0.505 0.042 0.365